{
  "formula": "Sr7Mn4O13",
  "functional": "PBE with a Hubbard U",
  "state": "optimized geometry",
  "formation_enthalpy_0k_ev_per_atom": -2.694,
  "energy_corrected_mp2020_ev_per_atom": -7.39,
  "dft_energy_ev_per_atom": -6.744,
  "total_magnetization_mub_per_cell": 0.000,
  "sg": "P2_1/c (14)",
  "cell": [[9.984, 0.000, 0.000], [0.000, 6.941, 0.000], [0.000, 0.819, 10.263]],
  "species": ["Sr", "Sr", "Sr", "Sr", "Sr", "Sr", "Sr", "Sr", "Sr", "Sr", "Sr", "Sr", "Sr", "Sr", "Mn", "Mn", "Mn", "Mn", "Mn", "Mn", "Mn", "Mn", "O", "O", "O", "O", "O", "O", "O", "O", "O", "O", "O", "O", "O", "O", "O", "O", "O", "O", "O", "O", "O", "O", "O", "O", "O", "O"],
  "fractional_positions": [[0.677, 0.993, 0.961], [0.859, 0.663, 0.197], [0.491, 0.162, 0.658], [0.509, 0.838, 0.342], [0.991, 0.838, 0.842], [0.500, 0.500, 0.000], [0.323, 0.007, 0.039], [0.177, 0.007, 0.539], [0.823, 0.993, 0.461], [0.359, 0.337, 0.303], [0.141, 0.337, 0.803], [0.641, 0.663, 0.697], [0.009, 0.162, 0.158], [0.000, 0.500, 0.500], [0.165, 0.573, 0.079], [0.665, 0.427, 0.421], [0.835, 0.427, 0.921], [0.176, 0.773, 0.281], [0.676, 0.227, 0.219], [0.335, 0.573, 0.579], [0.324, 0.773, 0.781], [0.824, 0.227, 0.719], [0.528, 0.152, 0.119], [0.590, 0.160, 0.417], [0.500, 0.500, 0.500], [0.675, 0.326, 0.830], [0.774, 0.996, 0.198], [0.753, 0.661, 0.957], [0.726, 0.996, 0.698], [0.253, 0.339, 0.543], [0.028, 0.848, 0.381], [0.972, 0.152, 0.619], [0.747, 0.661, 0.457], [0.410, 0.840, 0.583], [0.175, 0.674, 0.670], [0.103, 0.507, 0.275], [0.247, 0.339, 0.043], [0.090, 0.840, 0.083], [0.825, 0.326, 0.330], [0.226, 0.004, 0.802], [0.274, 0.004, 0.302], [0.472, 0.848, 0.881], [0.325, 0.674, 0.170], [0.397, 0.507, 0.775], [0.603, 0.493, 0.225], [0.910, 0.160, 0.917], [0.897, 0.493, 0.725], [0.000, 0.500, 0.000]]
}



{
  "formula": "Sr2Cu2NiS2O2",
  "functional": "PBE with a Hubbard U",
  "state": "optimized geometry",
  "formation_enthalpy_0k_ev_per_atom": -1.513,
  "energy_corrected_mp2020_ev_per_atom": -5.46,
  "dft_energy_ev_per_atom": -4.914,
  "total_magnetization_mub_per_cell": 0.000,
  "sg": "I4/mmm (139)",
  "cell": [[-0.732, -9.433, 2.298], [-5.614, -7.950, 0.284], [4.007, 8.012, -3.814]],
  "species": ["Sr", "Sr", "Cu", "Cu", "Ni", "S", "S", "O", "O"],
  "fractional_positions": [[0.592, 0.592, 0.000], [0.408, 0.408, 0.000], [0.750, 0.250, 0.500], [0.250, 0.750, 0.500], [0.000, 0.000, 0.000], [0.826, 0.826, 0.000], [0.174, 0.174, 0.000], [0.000, 0.500, 0.500], [0.500, 0.000, 0.500]]
}